Record 1
Density functional theory data (r2SCAN) for a relaxed structure of LiTaF6. Values from VASP.

Geometry as Quantum ESPRESSO input:
```
&SYSTEM
  ibrav = 0, nat = 8, ntyp = 3
/
ATOMIC_SPECIES
Li 6.94 Li.upf
Ta 180.95 Ta.upf
F 19.00 F.upf
CELL_PARAMETERS angstrom
0.000 3.893 3.893
3.893 0.000 3.893
3.893 3.893 0.000
ATOMIC_POSITIONS crystal
Li 0.000 0.000 0.000
Ta 0.500 0.500 0.500
F 0.255 0.255 0.745
F 0.255 0.745 0.255
F 0.255 0.745 0.745
F 0.745 0.255 0.255
F 0.745 0.255 0.745
F 0.745 0.745 0.255
```

Energy of formation from the pure elements in eV per atom: -3.4486
Symmetry: Fm-3m, No. 225

Record 2
Density functional theory data (r2SCAN) for a relaxed structure of TiCr2. Values from VASP.

Geometry as Quantum ESPRESSO input:
```
&SYSTEM
  ibrav = 0, nat = 12, ntyp = 2
/
ATOMIC_SPECIES
Ti 47.87 Ti.upf
Cr 52.00 Cr.upf
CELL_PARAMETERS angstrom
4.860 0.000 0.000
-2.430 4.209 0.000
0.000 0.000 7.782
ATOMIC_POSITIONS crystal
Ti 0.333 0.667 0.060
Ti 0.333 0.667 0.440
Ti 0.667 0.333 0.560
Ti 0.667 0.333 0.940
Cr 0.000 0.000 0.000
Cr 0.000 0.000 0.500
Cr 0.170 0.340 0.750
Cr 0.170 0.830 0.750
Cr 0.340 0.170 0.250
Cr 0.660 0.830 0.750
Cr 0.830 0.170 0.250
Cr 0.830 0.660 0.250
```

Energy of formation from the pure elements in eV per atom: 0.1019
Symmetry: P6_3/mmc, No. 194

Record 3
Density functional theory data (r2SCAN) for a relaxed structure of Ba2LuTaO6. Values from VASP.

Geometry as Quantum ESPRESSO input:
```
&SYSTEM
  ibrav = 0, nat = 10, ntyp = 4
/
ATOMIC_SPECIES
Ba 137.33 Ba.upf
Lu 174.97 Lu.upf
Ta 180.95 Ta.upf
O 16.00 O.upf
CELL_PARAMETERS angstrom
0.000 4.188 4.188
4.188 0.000 4.188
4.188 4.188 0.000
ATOMIC_POSITIONS crystal
Ba 0.250 0.250 0.250
Ba 0.750 0.750 0.750
Lu 0.000 0.000 0.000
Ta 0.500 0.500 0.500
O 0.261 0.261 0.739
O 0.261 0.739 0.261
O 0.261 0.739 0.739
O 0.739 0.261 0.261
O 0.739 0.261 0.739
O 0.739 0.739 0.261
```

Energy of formation from the pure elements in eV per atom: -3.5154
Symmetry: Fm-3m, No. 225

Record 4
Density functional theory data (r2SCAN) for a relaxed structure of LiAl2Pd. Values from VASP.

Geometry as Quantum ESPRESSO input:
```
&SYSTEM
  ibrav = 0, nat = 4, ntyp = 3
/
ATOMIC_SPECIES
Li 6.94 Li.upf
Al 26.98 Al.upf
Pd 106.42 Pd.upf
CELL_PARAMETERS angstrom
0.000 3.027 3.027
3.027 0.000 3.027
3.027 3.027 0.000
ATOMIC_POSITIONS crystal
Li 0.000 0.000 0.000
Al 0.250 0.250 0.250
Al 0.750 0.750 0.750
Pd 0.500 0.500 0.500
```

Energy of formation from the pure elements in eV per atom: -0.6667
Symmetry: Fm-3m, No. 225

Record 5
Density functional theory data (r2SCAN) for a relaxed structure of Pm2O3. Values from VASP.

Geometry as Quantum ESPRESSO input:
```
&SYSTEM
  ibrav = 0, nat = 15, ntyp = 2
/
ATOMIC_SPECIES
Pm 145.00 Pm.upf
O 16.00 O.upf
CELL_PARAMETERS angstrom
7.140 -1.824 0.000
7.140 1.824 0.000
-1.521 0.000 8.785
ATOMIC_POSITIONS crystal
Pm 0.034 0.034 0.311
Pm 0.310 0.310 0.362
Pm 0.365 0.365 0.012
Pm 0.635 0.635 0.988
Pm 0.690 0.690 0.638
Pm 0.966 0.966 0.689
O 0.129 0.129 0.786
O 0.175 0.175 0.473
O 0.203 0.203 0.127
O 0.474 0.474 0.844
O 0.500 0.500 0.500
O 0.526 0.526 0.156
O 0.797 0.797 0.873
O 0.825 0.825 0.527
O 0.871 0.871 0.214
```

Energy of formation from the pure elements in eV per atom: -3.7190
Symmetry: C2/m, No. 12

Record 6
Density functional theory data (r2SCAN) for a relaxed structure of CaVO3. Values from VASP.

Geometry as Quantum ESPRESSO input:
```
&SYSTEM
  ibrav = 0, nat = 20, ntyp = 3
/
ATOMIC_SPECIES
Ca 40.08 Ca.upf
V 50.94 V.upf
O 16.00 O.upf
CELL_PARAMETERS angstrom
7.552 0.000 0.000
0.000 5.311 0.000
-0.005 0.000 5.354
ATOMIC_POSITIONS crystal
Ca 0.250 0.006 0.035
Ca 0.250 0.494 0.535
Ca 0.750 0.506 0.465
Ca 0.750 0.994 0.965
V 0.000 0.000 0.500
V 0.000 0.500 0.000
V 0.500 0.000 0.500
V 0.500 0.500 0.000
O 0.033 0.212 0.785
O 0.033 0.288 0.285
O 0.250 0.563 0.988
O 0.250 0.937 0.488
O 0.467 0.215 0.787
O 0.467 0.285 0.287
O 0.533 0.715 0.713
O 0.533 0.785 0.213
O 0.750 0.063 0.512
O 0.750 0.437 0.012
O 0.967 0.712 0.715
O 0.967 0.788 0.215
```

Energy of formation from the pure elements in eV per atom: -3.0196
Symmetry: P2_1/c, No. 14

Record 7
Density functional theory data (r2SCAN) for a relaxed structure of U2CN. Values from VASP.

Geometry as Quantum ESPRESSO input:
```
&SYSTEM
  ibrav = 0, nat = 4, ntyp = 3
/
ATOMIC_SPECIES
U 238.03 U.upf
C 12.01 C.upf
N 14.01 N.upf
CELL_PARAMETERS angstrom
1.758 1.015 5.646
-1.758 1.015 5.646
0.000 -2.030 5.646
ATOMIC_POSITIONS crystal
U 0.248 0.248 0.248
U 0.752 0.752 0.752
C 0.000 0.000 0.000
N 0.500 0.500 0.500
```

Energy of formation from the pure elements in eV per atom: -0.9426
Symmetry: R-3m, No. 166

Record 8
Density functional theory data (r2SCAN) for a relaxed structure of CaNb4O8. Values from VASP.

Geometry as Quantum ESPRESSO input:
```
&SYSTEM
  ibrav = 0, nat = 39, ntyp = 3
/
ATOMIC_SPECIES
Ca 40.08 Ca.upf
Nb 92.91 Nb.upf
O 16.00 O.upf
CELL_PARAMETERS angstrom
4.873 -5.201 0.000
4.873 5.201 0.000
-0.814 0.000 9.704
ATOMIC_POSITIONS crystal
Ca 0.000 0.000 0.000
Ca 0.275 0.275 0.276
Ca 0.529 0.529 0.525
Nb 0.007 0.568 0.515
Nb 0.065 0.501 0.009
Nb 0.231 0.791 0.284
Nb 0.298 0.733 0.784
Nb 0.302 0.302 0.799
Nb 0.501 0.065 0.009
Nb 0.501 0.501 0.997
Nb 0.568 0.007 0.515
Nb 0.733 0.298 0.784
Nb 0.791 0.231 0.284
Nb 0.800 0.800 0.300
Nb 0.998 0.998 0.499
O 0.005 0.268 0.434
O 0.029 0.291 0.857
O 0.072 0.723 0.897
O 0.086 0.807 0.630
O 0.232 0.493 0.660
O 0.236 0.564 0.398
O 0.268 0.005 0.434
O 0.291 0.029 0.857
O 0.299 0.989 0.145
O 0.302 0.567 0.135
O 0.482 0.815 0.644
O 0.491 0.771 0.945
O 0.493 0.232 0.660
O 0.529 0.796 0.360
O 0.564 0.236 0.398
O 0.567 0.302 0.135
O 0.723 0.072 0.897
O 0.723 0.991 0.161
O 0.771 0.491 0.945
O 0.796 0.529 0.360
O 0.807 0.086 0.630
O 0.815 0.482 0.644
O 0.989 0.299 0.145
O 0.991 0.723 0.161
```

Energy of formation from the pure elements in eV per atom: -2.7688
Symmetry: Cm, No. 8